! NaMn8O16 r²SCAN relaxed; values from VASP
! Space group = Pc, No. 7
! ΔH_f (0 K) = -51.91 eV per formula unit
&SYSTEM
  ibrav = 0, nat = 50, ntyp = 3
/
ATOMIC_SPECIES
Mn 54.94 Mn.upf
O 16.00 O.upf
Na 22.99 Na.upf
CELL_PARAMETERS angstrom
0.000 0.000 -5.741
-9.682 -0.005 0.000
-0.082 9.811 0.000
ATOMIC_POSITIONS crystal
Mn 0.249 0.661 0.852
O 0.500 0.536 0.842
Mn 0.751 0.661 0.851
O 0.000 0.840 0.206
O 0.500 0.824 0.458
Mn 0.249 0.325 0.150
O 0.750 0.292 0.344
Mn 0.751 0.840 0.334
Mn 0.999 0.646 0.167
O 0.250 0.645 0.299
O 0.500 0.450 0.160
Mn 0.501 0.644 0.167
O 0.750 0.694 0.658
O 0.750 0.340 0.706
O 0.750 0.035 0.342
Na 0.501 0.993 0.001
O 0.000 0.194 0.158
O 0.500 0.162 0.544
O 0.750 0.950 0.660
Mn 0.999 0.340 0.834
O 0.250 0.323 0.958
Mn 0.501 0.824 0.650
Mn 0.501 0.341 0.834
Mn 0.249 0.842 0.334
O 0.750 0.662 0.044
Mn 0.999 0.824 0.651
O 0.000 0.823 0.458
Mn 0.751 0.324 0.151
O 0.500 0.191 0.157
O 0.500 0.841 0.203
O 0.750 0.646 0.296
Mn 0.249 0.144 0.667
O 0.500 0.794 0.846
O 0.250 0.341 0.703
O 0.250 0.294 0.346
O 0.000 0.451 0.160
Mn 0.999 0.161 0.351
O 0.000 0.162 0.544
O 0.250 0.691 0.657
O 0.000 0.146 0.796
O 0.000 0.792 0.844
O 0.750 0.323 0.958
Mn 0.501 0.161 0.352
O 0.500 0.145 0.799
O 0.250 0.950 0.660
Mn 0.751 0.145 0.667
O 0.000 0.535 0.842
O 0.250 0.662 0.044
O 0.250 0.036 0.342
Na 0.250 0.493 0.501